1.
Entry from Materials Project: a relaxed structure of Li2Fe3Co3O12 (PBE+U).

Theoretical density, Mg/m³: 4.15
Calculated formation energy, kcal/mol of atoms: -33.5
Calculated total energy, eV per atom: -5.953

Cell: 5.8501 5.9775 6.7109 Å, 105.19 103.28 90.04°
Space group P-1 (No. 2)
Inequivalent atoms, fractional coordinates:
Li 0.1862 0.1819 0.1813 x2
Fe 0.0000 0.0000 0.5000 x1
Fe 0.3330 0.3460 0.8255 x2
Co 0.1660 0.6664 0.1693 x2
Co 0.5000 0.0000 0.5000 x1
O 0.0680 0.1124 0.8157 x2
O 0.0720 0.5679 0.8629 x2
O 0.2553 0.7729 0.4702 x2
O 0.2557 0.2096 0.5073 x2
O 0.3933 0.4424 0.1456 x2
O 0.4088 0.8935 0.1986 x2

2.
Entry from Materials Project: a relaxed structure of Fe5O7F3 (PBE+U).

ΔE to the lowest computed polymorph, kJ/mol of atoms: 0.0
Theoretical density, Mg/m³: 4.46
Calculated formation energy, kcal/mol of atoms: -40.4
Calculated total energy, eV per atom: -6.102

Cell: 15.2137 4.6800 4.6872 Å, 90.00 90.00 90.00°
Space group Pmn2_1 (No. 31)
Inequivalent atoms, fractional coordinates:
Fe 0.0000 0.2313 0.0000 x2
Fe 0.1006 0.7597 0.4675 x4
Fe 0.1940 0.2192 0.9987 x4
O 0.0000 0.9307 0.2919 x2
O 0.0959 0.0475 0.7918 x4
O 0.0979 0.4349 0.1812 x4
O 0.2031 0.9377 0.3051 x4
F 0.0000 0.5480 0.6807 x2
F 0.2013 0.5496 0.6894 x4